Entry from the Materials Project: a relaxed structure of MgV4O8 (PBE+U).

Cell lengths 5.9019, 5.9019, 15.0921 Å; angles 90.00, 90.00, 120.00 degrees
Space group R-3m (No. 166, hexagonal axes)
Asymmetric unit:
Mg: 0.0000 0.0000 0.0000 (multiplicity 3)
V: 0.0000 0.0000 0.5000 (multiplicity 3)
V: 0.0000 0.5000 0.5000 (multiplicity 9)
O: 0.0000 0.0000 0.2325 (multiplicity 6)
O: 0.0117 0.5058 0.7614 (multiplicity 18)

Calculated values
MP2020-corrected energy   -8.4430 eV/atom
E_form   -2480 meV/atom
M_tot   18.0 μB/cell
E above lowest polymorph   62 meV per atom
Raw total energy   -292.39 eV for the cell shown